[1]
First-principles (meta-GGA r2SCAN) data for crystalline CsO2 at its relaxed geometry, as listed in the Materials Project database.

Lattice parameters (Å, degrees): 4.1713 4.5955 7.3396 90.00 89.97 90.00
Last column: nearest neighbours and their distance in Å.
Positions (direct):
O 0.4991 0.5000 0.9086  1 O 1.34
O 0.5009 0.5000 0.0914  1 O 1.34
O 0.9991 0.0000 0.5914  1 O 1.34
O 0.0009 0.0000 0.4086  1 O 1.34
Cs 0.5000 0.5000 0.5000  10 O 3.00-3.18
Cs 0.0000 0.0000 0.0000  10 O 3.00-3.18

Summary:
Volume (Å³ per cell): 140.7
ΔH_f (0 K) (meV/atom): -957
VASP energy (eV/atom): -13.309
Magnetization (μB per atom): 0.33
Offset from the most stable computed form (eV/atom): 0.000


[2]
First-principles (meta-GGA r2SCAN) data for crystalline SrPuO4 at its relaxed geometry, as listed in the Materials Project database.

Lattice parameters (Å, degrees): 6.5123 6.5123 6.5123 35.20 35.20 35.20
Last column: nearest neighbours and their distance in Å.
Positions (direct):
Sr 0.0000 0.0000 0.0000  8 O 2.52-2.59
Pu 0.5000 0.5000 0.5000  2 O 1.95
O 0.1413 0.1413 0.1413  3 Pu 2.32, 3 O 2.46, 1 Sr 2.59
O 0.3932 0.3932 0.3932  1 Pu 1.95
O 0.6068 0.6068 0.6068  1 Pu 1.95
O 0.8587 0.8587 0.8587  3 Pu 2.32, 3 O 2.46, 1 Sr 2.59

Summary:
Volume (Å³ per cell): 82.0
ΔH_f (0 K) (meV/atom): -3000
VASP energy (eV/atom): -23.899
Crystal system: trigonal
Magnetization (μB per atom): 0.33
Space-group type: No. 166


[3]
First-principles (meta-GGA r2SCAN) data for crystalline Tl3AsS3 at its relaxed geometry, as listed in the Materials Project database.

Lattice parameters (Å, degrees): 6.0914 6.0914 6.0914 105.89 105.89 105.89
Last column: nearest neighbours and their distance in Å.
Positions (direct):
Tl 0.0719 0.4640 0.4640  3 S 3.05
Tl 0.4640 0.0719 0.4640  3 S 3.05
Tl 0.4640 0.4640 0.0719  3 S 3.05
As 0.9012 0.9012 0.9012  3 S 2.26
S 0.5213 0.8838 0.8838  1 As 2.26
S 0.8838 0.5213 0.8838  1 As 2.26
S 0.8838 0.8838 0.5213  1 As 2.26

Summary:
Volume (Å³ per cell): 193.6
ΔH_f (0 K) (meV/atom): -386
VASP energy (eV/atom): -28.721
Crystal system: trigonal
Magnetization (μB per atom): 0.00
Space-group type: No. 160
Offset from the most stable computed form (eV/atom): 0.006


[4]
First-principles (meta-GGA r2SCAN) data for crystalline Zr2Co at its relaxed geometry, as listed in the Materials Project database.

Lattice parameters (Å, degrees): 5.2467 5.2467 5.2467 106.32 106.32 115.97
Last column: nearest neighbours and their distance in Å.
Positions (direct):
Zr 0.1753 0.6753 0.8506  4 Co 2.71
Zr 0.3247 0.1753 0.5000  4 Co 2.71
Zr 0.6753 0.8247 0.5000  4 Co 2.71
Zr 0.8247 0.3247 0.1494  4 Co 2.71
Co 0.2500 0.2500 0.0000  8 Zr 2.71, 2 Co 2.78
Co 0.7500 0.7500 0.0000  8 Zr 2.71, 2 Co 2.78

Summary:
Volume (Å³ per cell): 110.1
ΔH_f (0 K) (meV/atom): -177
VASP energy (eV/atom): -19.755
Crystal system: tetragonal
Magnetization (μB per atom): 0.00
Space-group type: No. 140


[5]
First-principles (meta-GGA r2SCAN) data for crystalline Zr3Cu4Ge2 at its relaxed geometry, as listed in the Materials Project database.

Lattice parameters (Å, degrees): 6.4050 6.4050 4.0045 90.00 90.00 120.00
Last column: nearest neighbours and their distance in Å.
Positions (direct):
Zr 0.0000 0.5915 0.0000  1 Cu 2.62, 4 Ge 2.79
Zr 0.4085 0.4085 0.0000  1 Cu 2.62, 4 Ge 2.79
Zr 0.5915 0.0000 0.0000  1 Cu 2.62, 4 Ge 2.79
Cu 0.0000 0.0000 0.0000  6 Cu 2.52, 3 Zr 2.62
Cu 0.0000 0.2386 0.5000  2 Ge 2.49, 4 Cu 2.52-2.65
Cu 0.2386 0.0000 0.5000  2 Ge 2.49, 4 Cu 2.52-2.65
Cu 0.7614 0.7614 0.5000  2 Ge 2.49, 4 Cu 2.52-2.65
Ge 0.3333 0.6667 0.5000  3 Cu 2.49, 6 Zr 2.79
Ge 0.6667 0.3333 0.5000  3 Cu 2.49, 6 Zr 2.79

Summary:
Volume (Å³ per cell): 142.3
ΔH_f (0 K) (meV/atom): -532
VASP energy (eV/atom): -16.019
Crystal system: hexagonal
Magnetization (μB per atom): 0.00
Space-group type: No. 189


[6]
First-principles (meta-GGA r2SCAN) data for crystalline RbSe at its relaxed geometry, as listed in the Materials Project database.

Lattice parameters (Å, degrees): 9.3562 9.3562 6.2425 90.00 90.00 120.00
Last column: nearest neighbours and their distance in Å.
Positions (direct):
Rb 0.0000 0.3139 0.0000  6 Se 3.43-3.51
Rb 0.0000 0.6485 0.5000  6 Se 3.50-3.59
Rb 0.3139 0.0000 0.0000  6 Se 3.43-3.51
Rb 0.3515 0.3515 0.5000  6 Se 3.50-3.59
Rb 0.6485 0.0000 0.5000  6 Se 3.50-3.59
Rb 0.6861 0.6861 0.0000  6 Se 3.43-3.51
Se 0.0000 0.0000 0.3073  1 Se 2.41
Se 0.0000 0.0000 0.6927  1 Se 2.41
Se 0.3333 0.6667 0.1940  1 Se 2.42
Se 0.3333 0.6667 0.8060  1 Se 2.42
Se 0.6667 0.3333 0.1940  1 Se 2.42
Se 0.6667 0.3333 0.8060  1 Se 2.42

Summary:
Volume (Å³ per cell): 473.2
ΔH_f (0 K) (meV/atom): -1101
VASP energy (eV/atom): -15.222
Crystal system: hexagonal
Magnetization (μB per atom): 0.00
Space-group type: No. 189


[7]
First-principles (meta-GGA r2SCAN) data for crystalline Ti11O18 at its relaxed geometry, as listed in the Materials Project database.

Lattice parameters (Å, degrees): 5.4699 7.4419 8.7474 113.07 105.52 96.01
Last column: nearest neighbours and their distance in Å.
Positions (direct):
Ti 0.0000 0.0000 0.0000  6 O 1.94-2.09
Ti 0.0002 0.4958 0.9959  6 O 1.99-2.09
Ti 0.2736 0.8575 0.3466  5 O 1.91-2.10
Ti 0.2792 0.3660 0.3334  5 O 1.88-2.10
Ti 0.3304 0.3333 0.6605  6 O 1.93-2.08
Ti 0.5997 0.1761 0.9787  6 O 1.92-2.13
Ti 0.6031 0.6902 0.9898  6 O 1.89-2.11
Ti 0.6585 0.6604 0.3263  6 O 1.93-2.09
Ti 0.6612 0.1650 0.3301  6 O 2.00-2.07
Ti 0.9512 0.0166 0.6677  6 O 1.89-2.05
Ti 0.9583 0.5411 0.6647  5 O 1.93-2.07
O 0.0082 0.3035 0.1033  4 Ti 1.99-2.13
O 0.0293 0.3294 0.4536  4 Ti 1.99-2.08
O 0.0328 0.3197 0.7655  4 Ti 2.00-2.18
O 0.2284 0.0441 0.5547  3 Ti 1.91-2.05
O 0.2357 0.0427 0.8801  3 Ti 1.92-2.00
O 0.2633 0.0513 0.2293  4 Ti 2.00-2.14
O 0.3348 0.6288 0.7764  3 Ti 1.89-2.02
O 0.3492 0.6462 0.4124  3 Ti 1.88-2.04
O 0.3664 0.6594 0.1208  4 Ti 1.99-2.18
O 0.5737 0.3621 0.2211  4 Ti 1.99-2.10
O 0.5793 0.3683 0.5397  4 Ti 1.99-2.08
O 0.5975 0.3874 0.8915  4 Ti 2.00-2.08
O 0.6796 0.9696 0.4370  4 Ti 2.01-2.10
O 0.6957 0.9890 0.1000  4 Ti 1.99-2.09
O 0.7259 0.0087 0.7960  3 Ti 1.89-2.03
O 0.9035 0.7183 0.5536  3 Ti 1.93-2.00
O 0.9061 0.6986 0.8933  4 Ti 2.00-2.08
O 0.9056 0.6997 0.2030  4 Ti 2.00-2.11

Summary:
Volume (Å³ per cell): 306.7
ΔH_f (0 K) (meV/atom): -3188
VASP energy (eV/atom): -11.803
Crystal system: triclinic
Magnetization (μB per atom): 0.00
Space-group type: No. 1


[8]
First-principles (meta-GGA r2SCAN) data for crystalline Cu3As2O8 at its relaxed geometry, as listed in the Materials Project database.

Lattice parameters (Å, degrees): 5.4172 11.5789 5.0899 90.00 111.72 90.00
Last column: nearest neighbours and their distance in Å.
Positions (direct):
Cu 0.0000 0.0000 0.0000  4 O 1.92-1.96
Cu 0.0000 0.5000 0.5000  4 O 1.92-1.96
Cu 0.3621 0.1627 0.7438  4 O 1.94-2.04
Cu 0.3621 0.3373 0.2438  4 O 1.94-2.04
Cu 0.6379 0.6627 0.7562  4 O 1.94-2.04
Cu 0.6379 0.8373 0.2562  4 O 1.94-2.04
As 0.2340 0.6154 0.1080  4 O 1.68-1.74
As 0.2340 0.8846 0.6080  4 O 1.68-1.74
As 0.7660 0.1154 0.3920  4 O 1.68-1.74
As 0.7660 0.3846 0.8920  4 O 1.68-1.74
O 0.0430 0.1856 0.4065  1 As 1.68
O 0.0430 0.3144 0.9065  1 As 1.68
O 0.2286 0.0112 0.7884  1 As 1.74, 2 Cu 1.92-1.94
O 0.2286 0.4888 0.2884  1 As 1.74, 2 Cu 1.92-1.94
O 0.2800 0.5827 0.8026  1 As 1.71
O 0.2800 0.9173 0.3026  1 As 1.71
O 0.4921 0.1875 0.1704  1 As 1.71
O 0.4921 0.3125 0.6704  1 As 1.71
O 0.5079 0.6875 0.3296  1 As 1.71
O 0.5079 0.8125 0.8296  1 As 1.71
O 0.7200 0.0827 0.6974  1 As 1.71
O 0.7200 0.4173 0.1974  1 As 1.71
O 0.7714 0.5112 0.7116  1 As 1.74, 2 Cu 1.92-1.94
O 0.7714 0.9888 0.2116  1 As 1.74, 2 Cu 1.92-1.94
O 0.9570 0.6856 0.0935  1 As 1.68
O 0.9570 0.8144 0.5935  1 As 1.68

Summary:
Volume (Å³ per cell): 296.6
ΔH_f (0 K) (meV/atom): -1090
VASP energy (eV/atom): -9.531
Crystal system: monoclinic
Magnetization (μB per atom): 0.08
Space-group type: No. 14
Offset from the most stable computed form (eV/atom): 0.000


Q: Which value of magnetization does entry 7 give?
A: 0.00 μB per atom


Please write out number 8 again, unchanged.
First-principles (meta-GGA r2SCAN) data for crystalline Cu3As2O8 at its relaxed geometry, as listed in the Materials Project database.

Lattice parameters (Å, degrees): 5.4172 11.5789 5.0899 90.00 111.72 90.00
Last column: nearest neighbours and their distance in Å.
Positions (direct):
Cu 0.0000 0.0000 0.0000  4 O 1.92-1.96
Cu 0.0000 0.5000 0.5000  4 O 1.92-1.96
Cu 0.3621 0.1627 0.7438  4 O 1.94-2.04
Cu 0.3621 0.3373 0.2438  4 O 1.94-2.04
Cu 0.6379 0.6627 0.7562  4 O 1.94-2.04
Cu 0.6379 0.8373 0.2562  4 O 1.94-2.04
As 0.2340 0.6154 0.1080  4 O 1.68-1.74
As 0.2340 0.8846 0.6080  4 O 1.68-1.74
As 0.7660 0.1154 0.3920  4 O 1.68-1.74
As 0.7660 0.3846 0.8920  4 O 1.68-1.74
O 0.0430 0.1856 0.4065  1 As 1.68
O 0.0430 0.3144 0.9065  1 As 1.68
O 0.2286 0.0112 0.7884  1 As 1.74, 2 Cu 1.92-1.94
O 0.2286 0.4888 0.2884  1 As 1.74, 2 Cu 1.92-1.94
O 0.2800 0.5827 0.8026  1 As 1.71
O 0.2800 0.9173 0.3026  1 As 1.71
O 0.4921 0.1875 0.1704  1 As 1.71
O 0.4921 0.3125 0.6704  1 As 1.71
O 0.5079 0.6875 0.3296  1 As 1.71
O 0.5079 0.8125 0.8296  1 As 1.71
O 0.7200 0.0827 0.6974  1 As 1.71
O 0.7200 0.4173 0.1974  1 As 1.71
O 0.7714 0.5112 0.7116  1 As 1.74, 2 Cu 1.92-1.94
O 0.7714 0.9888 0.2116  1 As 1.74, 2 Cu 1.92-1.94
O 0.9570 0.6856 0.0935  1 As 1.68
O 0.9570 0.8144 0.5935  1 As 1.68

Summary:
Volume (Å³ per cell): 296.6
ΔH_f (0 K) (meV/atom): -1090
VASP energy (eV/atom): -9.531
Crystal system: monoclinic
Magnetization (μB per atom): 0.08
Space-group type: No. 14
Offset from the most stable computed form (eV/atom): 0.000